The following is a PBE with a Hubbard U calculation of Li2Ni3WO8 after structural relaxation, from the Materials Project.

## Properties
- excess energy over the best structure of this formula in the dataset (meV per atom) = 24
- SG = No. 1
- MP2020-corrected energy (eV/atom) = -6.9078
- calculated formation energy (kJ/mol of formula units) = -2220
- calculated total energy (eV/atom) = -5.65

a = 8.220 Å, b = 8.501 Å, c = 8.563 Å
α = 90.00°, β = 89.99°, γ = 89.97°
Sites, in units of the cell vectors:
Li 0.000 0.000 0.000
Li 0.012 0.500 0.505
Li 0.250 0.757 0.760
Li 0.263 0.262 0.261
Li 0.500 0.518 0.004
Li 0.512 0.019 0.500
Li 0.749 0.762 0.245
Li 0.763 0.257 0.745
Ni 0.129 0.637 0.125
Ni 0.131 0.389 0.873
Ni 0.134 0.136 0.625
Ni 0.379 0.882 0.125
Ni 0.381 0.629 0.373
Ni 0.384 0.381 0.626
Ni 0.629 0.881 0.880
Ni 0.631 0.129 0.132
Ni 0.634 0.383 0.380
Ni 0.879 0.636 0.880
Ni 0.881 0.889 0.632
Ni 0.884 0.137 0.380
W 0.131 0.881 0.381
W 0.381 0.137 0.881
W 0.631 0.638 0.624
W 0.881 0.381 0.124
O 0.109 0.628 0.898
O 0.116 0.393 0.127
O 0.117 0.116 0.379
O 0.131 0.654 0.369
O 0.131 0.896 0.607
O 0.144 0.882 0.147
O 0.147 0.134 0.870
O 0.154 0.363 0.635
O 0.358 0.655 0.135
O 0.366 0.885 0.370
O 0.368 0.136 0.647
O 0.381 0.124 0.107
O 0.382 0.364 0.867
O 0.395 0.902 0.880
O 0.396 0.627 0.627
O 0.404 0.390 0.399
O 0.608 0.891 0.108
O 0.616 0.125 0.878
O 0.618 0.403 0.626
O 0.631 0.622 0.397
O 0.631 0.865 0.635
O 0.644 0.638 0.858
O 0.647 0.385 0.135
O 0.654 0.156 0.370
O 0.859 0.863 0.870
O 0.866 0.634 0.635
O 0.868 0.382 0.358
O 0.881 0.396 0.898
O 0.882 0.154 0.136
O 0.895 0.616 0.126
O 0.896 0.893 0.378
O 0.904 0.128 0.607